Density functional theory data (GGA-PBE) for a relaxed structure of HfCr2.

Cell: 5.017 5.017 5.017 Å, 60.00 60.00 60.00°
Sites, in units of the cell vectors:
Hf 0.125 0.125 0.125
Hf 0.875 0.875 0.875
Cr 0.000 0.500 0.500
Cr 0.500 0.000 0.500
Cr 0.500 0.500 0.000
Cr 0.500 0.500 0.500

Properties
**Energy of formation from the pure elements**: -0.10 eV per atom
**V**: 44.6 Å³/f.u.
**Calculated total energy**: -59.15 eV for the cell shown

---

Density functional theory data (GGA-PBE) for a relaxed structure of Tm2IrRu.

Cell: 6.741 6.741 6.741 Å, 90.00 90.00 90.00°
Sites, in units of the cell vectors:
Tm 0.250 0.250 0.250
Tm 0.250 0.250 0.750
Tm 0.250 0.750 0.250
Tm 0.250 0.750 0.750
Tm 0.750 0.250 0.250
Tm 0.750 0.250 0.750
Tm 0.750 0.750 0.250
Tm 0.750 0.750 0.750
Ir 0.000 0.000 0.000
Ir 0.000 0.500 0.500
Ir 0.500 0.000 0.500
Ir 0.500 0.500 0.000
Ru 0.000 0.000 0.500
Ru 0.000 0.500 0.000
Ru 0.500 0.000 0.000
Ru 0.500 0.500 0.500

Properties
**Energy of formation from the pure elements**: -0.72 eV per atom
**V**: 76.6 Å³/f.u.
**Calculated total energy**: -119.83 eV for the cell shown

---

Density functional theory data (GGA-PBE) for a relaxed structure of LaNb7O12.

Cell: 10.927 9.322 10.470 Å, 90.00 104.36 90.00°
Sites, in units of the cell vectors:
La 0.163 0.017 0.452
La 0.163 0.483 0.952
La 0.837 0.517 0.048
La 0.837 0.983 0.548
Nb 0.081 0.119 0.816
Nb 0.081 0.381 0.316
Nb 0.088 0.634 0.468
Nb 0.088 0.866 0.968
Nb 0.218 0.624 0.268
Nb 0.218 0.876 0.768
Nb 0.220 0.116 0.092
Nb 0.220 0.384 0.592
Nb 0.345 0.126 0.882
Nb 0.345 0.374 0.382
Nb 0.351 0.628 0.539
Nb 0.351 0.872 0.039
Nb 0.500 0.114 0.661
Nb 0.500 0.386 0.161
Nb 0.500 0.614 0.839
Nb 0.500 0.886 0.339
Nb 0.649 0.128 0.961
Nb 0.649 0.372 0.461
Nb 0.655 0.626 0.618
Nb 0.655 0.874 0.118
Nb 0.780 0.616 0.408
Nb 0.780 0.884 0.908
Nb 0.782 0.124 0.232
Nb 0.782 0.376 0.732
Nb 0.912 0.134 0.032
Nb 0.912 0.366 0.532
Nb 0.919 0.619 0.684
Nb 0.919 0.881 0.184
O 0.069 0.000 0.138
O 0.069 0.500 0.638
O 0.070 0.502 0.143
O 0.070 0.998 0.643
O 0.076 0.248 0.481
O 0.076 0.252 0.981
O 0.086 0.730 0.813
O 0.086 0.770 0.313
O 0.208 0.232 0.279
O 0.208 0.268 0.779
O 0.219 0.728 0.079
O 0.219 0.772 0.579
O 0.348 0.236 0.546
O 0.348 0.264 0.046
O 0.349 0.008 0.707
O 0.349 0.492 0.207
O 0.361 0.505 0.715
O 0.361 0.995 0.215
O 0.363 0.742 0.878
O 0.363 0.758 0.378
O 0.496 0.233 0.817
O 0.496 0.267 0.317
O 0.500 0.000 0.000
O 0.500 0.000 0.500
O 0.500 0.500 0.000
O 0.500 0.500 0.500
O 0.504 0.733 0.683
O 0.504 0.767 0.183
O 0.637 0.242 0.622
O 0.637 0.258 0.122
O 0.639 0.005 0.785
O 0.639 0.495 0.285
O 0.651 0.508 0.793
O 0.651 0.992 0.293
O 0.652 0.736 0.954
O 0.652 0.764 0.454
O 0.781 0.228 0.421
O 0.781 0.272 0.921
O 0.792 0.732 0.221
O 0.792 0.768 0.721
O 0.914 0.230 0.687
O 0.914 0.270 0.187
O 0.924 0.748 0.019
O 0.924 0.752 0.519
O 0.930 0.002 0.357
O 0.930 0.498 0.857
O 0.931 0.000 0.862
O 0.931 0.500 0.362

Properties
**Energy with MP2020 corrections**: -9.63 eV/atom
**Energy of formation from the pure elements**: -2.88 eV per atom
**V**: 258.3 Å³/f.u.
**Calculated total energy**: -737.64 eV for the cell shown